No. 1
PBE-GGA BaSrGdBiO6, optimized geometry; total magnetization = 0.700 μB per atom; energy relative to the elements = -2752 meV/atom; density = 6.9 Mg/m³; total DFT energy (no corrections) = -7.47 eV per atom; excess energy over the best structure of this formula in the dataset = 51.9 meV per atom
1.0
0.000 -4.359 -4.359
4.359 0.000 -4.359
4.359 -4.359 0.000
Bi O Ba Gd Sr
1 6 1 1 1
Direct
0.000 0.000 0.000 Bi
0.757 0.757 0.243 O
0.757 0.243 0.243 O
0.243 0.757 0.757 O
0.243 0.243 0.757 O
0.243 0.757 0.243 O
0.757 0.243 0.757 O
0.250 0.250 0.250 Ba
0.500 0.500 0.500 Gd
0.750 0.750 0.750 Sr

---

No. 2
PBE-GGA SrLaGaCuO5, optimized geometry; total magnetization = 0.000 μB per atom; energy relative to the elements = -2644 meV/atom; density = 5.8 Mg/m³; total DFT energy (no corrections) = -6.54 eV per atom; excess energy over the best structure of this formula in the dataset = 9.6 meV per atom
1.0
-3.149 -6.312 5.894
2.001 -0.714 -8.943
3.090 -4.335 -0.563
Cu O La Ga Sr
2 10 2 2 2
Direct
0.996 0.497 0.003 Cu
0.497 0.996 0.003 Cu
0.802 0.600 0.021 O
0.751 0.240 0.006 O
0.226 0.421 0.903 O
0.129 0.129 0.518 O
0.600 0.802 0.021 O
0.421 0.226 0.903 O
0.245 0.754 0.503 O
0.240 0.751 0.006 O
0.869 0.869 0.282 O
0.754 0.245 0.503 O
0.869 0.574 0.531 La
0.574 0.869 0.531 La
0.184 0.184 0.111 Ga
0.818 0.818 0.972 Ga
0.402 0.123 0.490 Sr
0.123 0.402 0.490 Sr

---

No. 3
PBE-GGA HOs7C20O19, optimized geometry; total magnetization = 0.021 μB per atom; energy relative to the elements = -830 meV/atom; density = 3.9 Mg/m³; total DFT energy (no corrections) = -8.22 eV per atom
1.0
-3.527 20.391 -1.888
-9.147 -1.236 3.739
5.289 2.254 14.455
O Os C H
76 28 80 4
Direct
0.926 0.846 0.824 O
0.199 0.665 0.000 O
0.315 0.393 0.716 O
0.109 0.710 0.837 O
0.074 0.154 0.176 O
0.902 0.482 0.830 O
0.625 0.540 0.067 O
0.360 0.900 0.024 O
0.809 0.336 0.582 O
0.699 0.835 0.500 O
0.891 0.290 0.163 O
0.580 0.753 0.189 O
0.609 0.790 0.663 O
0.125 0.960 0.433 O
0.806 0.004 0.972 O
0.420 0.247 0.811 O
0.675 0.176 0.474 O
0.697 0.276 0.153 O
0.984 0.809 0.476 O
0.860 0.600 0.476 O
0.197 0.224 0.347 O
0.442 0.288 0.526 O
0.966 0.528 0.342 O
0.516 0.309 0.976 O
0.044 0.414 0.936 O
0.598 0.982 0.330 O
0.514 0.697 0.834 O
0.456 0.914 0.436 O
0.534 0.028 0.842 O
0.301 0.165 0.500 O
0.194 0.996 0.028 O
0.303 0.724 0.847 O
0.986 0.197 0.334 O
0.402 0.018 0.670 O
0.484 0.691 0.024 O
0.391 0.210 0.337 O
0.694 0.504 0.472 O
0.375 0.460 0.933 O
0.801 0.335 0.000 O
0.215 0.496 0.832 O
0.325 0.824 0.526 O
0.336 0.136 0.144 O
0.685 0.607 0.284 O
0.014 0.803 0.666 O
0.691 0.836 0.082 O
0.715 0.004 0.668 O
0.016 0.191 0.524 O
0.875 0.040 0.567 O
0.942 0.212 0.974 O
0.664 0.864 0.856 O
0.815 0.107 0.784 O
0.034 0.472 0.658 O
0.175 0.324 0.026 O
0.466 0.972 0.158 O
0.574 0.346 0.324 O
0.164 0.636 0.644 O
0.785 0.504 0.168 O
0.098 0.518 0.170 O
0.191 0.664 0.418 O
0.058 0.788 0.026 O
0.486 0.303 0.166 O
0.426 0.654 0.676 O
0.836 0.364 0.356 O
0.306 0.496 0.528 O
0.640 0.100 0.976 O
0.140 0.400 0.524 O
0.080 0.747 0.311 O
0.558 0.712 0.474 O
0.544 0.086 0.564 O
0.956 0.586 0.064 O
0.825 0.676 0.974 O
0.803 0.776 0.653 O
0.185 0.893 0.216 O
0.920 0.253 0.689 O
0.285 0.996 0.332 O
0.309 0.164 0.918 O
0.112 0.292 0.780 Os
0.888 0.708 0.220 Os
0.991 0.900 0.186 Os
0.388 0.792 0.280 Os
0.139 0.006 0.844 Os
0.861 0.994 0.156 Os
0.639 0.494 0.656 Os
0.291 0.706 0.150 Os
0.612 0.208 0.720 Os
0.409 0.566 0.177 Os
0.699 0.572 0.896 Os
0.709 0.294 0.850 Os
0.770 0.502 0.738 Os
0.591 0.434 0.823 Os
0.301 0.428 0.104 Os
0.730 0.002 0.238 Os
0.230 0.498 0.262 Os
0.270 0.998 0.762 Os
0.491 0.600 0.314 Os
0.209 0.206 0.650 Os
0.361 0.506 0.344 Os
0.909 0.934 0.323 Os
0.091 0.066 0.677 Os
0.801 0.072 0.396 Os
0.791 0.794 0.350 Os
0.509 0.400 0.686 Os
0.199 0.928 0.604 Os
0.009 0.100 0.814 Os
0.935 0.596 0.296 C
0.704 0.899 0.141 C
0.274 0.322 0.694 C
0.177 0.748 0.628 C
0.652 0.553 0.002 C
0.456 0.644 0.082 C
0.774 0.178 0.806 C
0.822 0.584 0.191 C
0.726 0.678 0.306 C
0.204 0.601 0.359 C
0.468 0.333 0.586 C
0.178 0.416 0.809 C
0.352 0.010 0.704 C
0.041 0.905 0.670 C
0.878 0.177 0.156 C
0.852 0.490 0.796 C
0.235 0.666 0.057 C
0.065 0.404 0.704 C
0.532 0.667 0.414 C
0.148 0.510 0.204 C
0.664 0.173 0.926 C
0.322 0.916 0.309 C
0.823 0.252 0.372 C
0.567 0.143 0.621 C
0.836 0.673 0.426 C
0.796 0.399 0.641 C
0.046 0.807 0.264 C
0.671 0.498 0.541 C
0.679 0.475 0.778 C
0.957 0.943 0.821 C
0.565 0.096 0.796 C
0.226 0.822 0.194 C
0.678 0.084 0.691 C
0.152 0.947 0.498 C
0.296 0.101 0.859 C
0.067 0.357 0.879 C
0.179 0.025 0.722 C
0.541 0.595 0.830 C
0.043 0.057 0.179 C
0.265 0.166 0.557 C
0.032 0.833 0.086 C
0.791 0.673 0.686 C
0.122 0.823 0.844 C
0.959 0.095 0.330 C
0.459 0.405 0.170 C
0.454 0.307 0.764 C
0.321 0.525 0.222 C
0.348 0.447 0.998 C
0.044 0.144 0.582 C
0.954 0.193 0.736 C
0.829 0.998 0.041 C
0.778 0.634 0.943 C
0.735 0.834 0.443 C
0.544 0.356 0.918 C
0.336 0.827 0.074 C
0.435 0.904 0.204 C
0.709 0.173 0.186 C
0.323 0.248 0.128 C
0.848 0.053 0.502 C
0.291 0.827 0.814 C
0.546 0.693 0.236 C
0.329 0.502 0.459 C
0.821 0.975 0.278 C
0.209 0.327 0.314 C
0.765 0.334 0.943 C
0.171 0.002 0.959 C
0.433 0.857 0.379 C
0.722 0.134 0.443 C
0.622 0.677 0.656 C
0.677 0.752 0.872 C
0.648 0.990 0.296 C
0.278 0.866 0.557 C
0.543 0.443 0.321 C
0.956 0.856 0.418 C
0.968 0.167 0.914 C
0.933 0.643 0.121 C
0.378 0.323 0.344 C
0.164 0.327 0.574 C
0.457 0.557 0.679 C
0.222 0.366 0.057 C
0.935 0.976 0.103 H
0.565 0.476 0.603 H
0.065 0.024 0.897 H
0.435 0.524 0.397 H

---

No. 4
PBE-GGA Sr2Rh, optimized geometry; energy relative to the elements = -130 meV/atom; density = 4.6 Mg/m³; total DFT energy (no corrections) = -3.71 eV per atom
1.0
0.148 -4.366 2.833
-3.197 -3.949 -1.135
1.906 -4.381 -2.067
Sr Rh
2 1
Direct
0.750 0.750 0.750 Sr
0.250 0.250 0.250 Sr
0.000 0.000 0.000 Rh

---

No. 5
PBE-GGA Na22S10Cl3O40, optimized geometry; total magnetization = 0.013 μB per atom; energy relative to the elements = -2145 meV/atom; density = 2.5 Mg/m³; total DFT energy (no corrections) = -5.43 eV per atom
1.0
11.893 3.479 -6.557
-4.439 -12.452 -4.666
-9.774 9.713 -2.583
O Na S Cl
80 44 20 6
Direct
0.606 0.304 0.264 O
0.124 0.561 0.017 O
0.956 0.939 0.563 O
0.248 0.446 0.342 O
0.264 0.606 0.304 O
0.946 0.748 0.842 O
0.198 0.894 0.658 O
0.517 0.061 0.624 O
0.406 0.158 0.104 O
0.460 0.196 0.302 O
0.752 0.198 0.594 O
0.842 0.236 0.040 O
0.437 0.394 0.876 O
0.563 0.956 0.939 O
0.106 0.764 0.804 O
0.106 0.044 0.983 O
0.000 0.500 0.315 O
0.236 0.040 0.842 O
0.906 0.604 0.658 O
0.198 0.594 0.752 O
0.876 0.437 0.394 O
0.104 0.406 0.158 O
0.764 0.804 0.106 O
0.698 0.158 0.394 O
0.500 0.315 0.000 O
0.696 0.960 0.802 O
0.446 0.342 0.248 O
0.342 0.540 0.736 O
0.960 0.802 0.696 O
0.894 0.658 0.198 O
0.983 0.106 0.044 O
0.302 0.460 0.196 O
0.802 0.696 0.960 O
0.342 0.248 0.446 O
0.483 0.544 0.606 O
0.185 0.185 0.185 O
0.937 0.376 0.894 O
0.196 0.302 0.460 O
0.394 0.876 0.437 O
0.894 0.937 0.376 O
0.604 0.658 0.906 O
0.554 0.896 0.302 O
0.685 0.685 0.685 O
0.736 0.342 0.540 O
0.054 0.802 0.396 O
0.561 0.017 0.124 O
0.017 0.124 0.561 O
0.252 0.094 0.698 O
0.698 0.252 0.094 O
0.063 0.439 0.456 O
0.804 0.106 0.764 O
0.624 0.517 0.061 O
0.394 0.698 0.158 O
0.302 0.554 0.896 O
0.544 0.606 0.483 O
0.658 0.906 0.604 O
0.439 0.456 0.063 O
0.748 0.842 0.946 O
0.802 0.396 0.054 O
0.606 0.483 0.544 O
0.594 0.752 0.198 O
0.815 0.000 0.500 O
0.315 0.000 0.500 O
0.044 0.983 0.106 O
0.658 0.198 0.894 O
0.456 0.063 0.439 O
0.040 0.842 0.236 O
0.396 0.054 0.802 O
0.939 0.563 0.956 O
0.304 0.264 0.606 O
0.842 0.946 0.748 O
0.896 0.302 0.554 O
0.500 0.815 0.000 O
0.158 0.394 0.698 O
0.061 0.624 0.517 O
0.540 0.736 0.342 O
0.158 0.104 0.406 O
0.094 0.698 0.252 O
0.000 0.500 0.815 O
0.376 0.894 0.937 O
0.535 0.276 0.506 Na
0.471 0.465 0.742 Na
0.270 0.494 0.029 Na
0.250 0.044 0.294 Na
0.276 0.506 0.535 Na
0.758 0.724 0.230 Na
0.849 0.849 0.849 Na
0.742 0.471 0.465 Na
0.494 0.029 0.270 Na
0.044 0.294 0.250 Na
0.730 0.224 0.258 Na
0.294 0.250 0.044 Na
0.224 0.258 0.730 Na
0.770 0.529 0.994 Na
0.971 0.242 0.965 Na
0.794 0.544 0.750 Na
0.349 0.349 0.349 Na
0.029 0.270 0.494 Na
0.230 0.758 0.724 Na
0.035 0.006 0.776 Na
0.456 0.206 0.750 Na
0.250 0.706 0.956 Na
0.651 0.000 0.500 Na
0.776 0.035 0.006 Na
0.000 0.500 0.151 Na
0.151 0.000 0.500 Na
0.000 0.500 0.651 Na
0.500 0.651 0.000 Na
0.006 0.776 0.035 Na
0.994 0.770 0.529 Na
0.956 0.250 0.706 Na
0.242 0.965 0.971 Na
0.500 0.151 0.000 Na
0.706 0.956 0.250 Na
0.258 0.730 0.224 Na
0.529 0.994 0.770 Na
0.750 0.794 0.544 Na
0.465 0.742 0.471 Na
0.724 0.230 0.758 Na
0.206 0.750 0.456 Na
0.750 0.456 0.206 Na
0.965 0.971 0.242 Na
0.544 0.750 0.794 Na
0.506 0.535 0.276 Na
0.000 0.500 0.921 S
0.500 0.421 0.000 S
0.579 0.579 0.579 S
0.519 0.769 0.250 S
0.921 0.000 0.500 S
0.981 0.731 0.750 S
0.269 0.019 0.750 S
0.231 0.481 0.250 S
0.750 0.269 0.019 S
0.000 0.500 0.421 S
0.250 0.519 0.769 S
0.481 0.250 0.231 S
0.500 0.921 0.000 S
0.750 0.981 0.731 S
0.019 0.750 0.269 S
0.731 0.750 0.981 S
0.250 0.231 0.481 S
0.079 0.079 0.079 S
0.769 0.250 0.519 S
0.421 0.000 0.500 S
0.125 0.250 0.875 Cl
0.875 0.125 0.250 Cl
0.625 0.375 0.750 Cl
0.250 0.875 0.125 Cl
0.375 0.750 0.625 Cl
0.750 0.625 0.375 Cl

---

No. 6
PBE-GGA ZrU4O10, optimized geometry; total magnetization = 0.533 μB per atom; energy relative to the elements = -3727 meV/atom; density = 10.3 Mg/m³; total DFT energy (no corrections) = -10.15 eV per atom; excess energy over the best structure of this formula in the dataset = 0.0 meV per atom
1.0
15.496 -1.902 0.000
15.496 1.902 0.000
15.262 0.000 3.286
O Zr U
10 1 4
Direct
0.150 0.150 0.150 O
0.850 0.850 0.850 O
0.048 0.048 0.048 O
0.449 0.449 0.449 O
0.952 0.952 0.952 O
0.551 0.551 0.551 O
0.251 0.251 0.251 O
0.749 0.749 0.749 O
0.348 0.348 0.348 O
0.652 0.652 0.652 O
0.000 0.000 0.000 Zr
0.200 0.200 0.200 U
0.800 0.800 0.800 U
0.601 0.601 0.601 U
0.399 0.399 0.399 U

---

No. 7
PBE-GGA ScFe2Si2, optimized geometry; energy relative to the elements = -626 meV/atom; density = 5.4 Mg/m³; total DFT energy (no corrections) = -7.48 eV per atom
1.0
-0.359 3.989 -2.967
-5.045 -3.235 -3.738
-5.184 2.882 4.503
Fe Si Sc
8 8 4
Direct
0.500 0.250 0.383 Fe
0.250 0.989 0.116 Fe
0.250 0.489 0.884 Fe
0.000 0.750 0.617 Fe
0.500 0.750 0.617 Fe
0.750 0.011 0.884 Fe
0.000 0.250 0.383 Fe
0.750 0.511 0.116 Fe
0.750 0.050 0.583 Si
0.000 0.250 0.049 Si
0.250 0.450 0.583 Si
0.750 0.550 0.417 Si
0.500 0.750 0.951 Si
0.000 0.750 0.951 Si
0.500 0.250 0.049 Si
0.250 0.950 0.417 Si
0.750 0.406 0.752 Sc
0.750 0.906 0.248 Sc
0.250 0.594 0.248 Sc
0.250 0.094 0.752 Sc

---

> energy relative to the elements of number 5 (Na22S10Cl3O40)?

-2145 meV/atom

---

> Look up the energy relative to the elements of the third one.

-830 meV/atom